Computed, not measured: an optimized crystal structure of NdHo3 at the r2SCAN level of DFT.

## Properties
Energy above the most stable polymorph in this dataset: 0.0000 eV/atom
SG: No. 194
Total moment: 4.75 μB per cell
Theoretical density: 8.02 g/cm³
ΔE_f: 0.00 eV/atom

a b c (Å): 7.257 7.257 5.799
angles (deg): 90.00 90.00 120.00
Fractional coordinates of all 8 atoms:
Ho (0.670, 0.835, 0.250)
Ho (0.835, 0.165, 0.750)
Ho (0.165, 0.835, 0.250)
Ho (0.835, 0.670, 0.750)
Ho (0.165, 0.330, 0.250)
Ho (0.330, 0.165, 0.750)
Nd (0.333, 0.667, 0.750)
Nd (0.667, 0.333, 0.250)